No. 1
Material: Tm
Method: DFT, meta-GGA r2SCAN
State: optimized geometry

```
Tm
1.0
3.564 0.000 0.000
-1.782 3.087 0.000
0.000 0.000 5.490
Tm
2
Direct
0.333 0.667 0.250
0.667 0.333 0.750
```

M_tot   0.0 μB per cell
VASP energy   -35.12 eV/atom
Formation enthalpy at 0 K   0.00 eV/f.u.

---

No. 2
Material: Tm
Method: DFT, meta-GGA r2SCAN
State: optimized geometry

```
Tm
1.0
-0.436 2.882 1.920
-2.998 0.520 1.711
-0.083 -0.219 3.482
Tm
1
Direct
0.000 0.000 0.000
```

M_tot   0.0 μB per cell
VASP energy   -35.06 eV/atom
Formation enthalpy at 0 K   0.06 eV/f.u.

---

No. 3
Material: YTm3
Method: DFT, meta-GGA r2SCAN
State: optimized geometry

```
YTm3
1.0
7.191 0.000 0.000
-3.595 6.227 0.000
0.000 0.000 5.531
Y Tm
2 6
Direct
0.333 0.667 0.750
0.667 0.333 0.250
0.165 0.331 0.250
0.669 0.835 0.250
0.165 0.835 0.250
0.835 0.669 0.750
0.331 0.165 0.750
0.835 0.165 0.750
```

M_tot   0.0 μB per cell
VASP energy   -31.40 eV/atom
Formation enthalpy at 0 K   0.06 eV/f.u.

---

VASP energy of number 1 (Tm)?
-35.12 eV/atom